# 1
Here is a geometry-optimized LiV2Si2O8 structure from the Materials Project database. Energies are from PBE with a Hubbard U.

Lattice parameters (Å, degrees): 4.859 6.413 8.989 89.79 90.00 90.00
Fractional positions:
V1 0.257 0.513 0.000
V2 0.743 0.513 0.500
V3 0.748 0.998 0.501
V4 0.252 0.998 0.001
Li1 0.773 0.246 0.835
Li2 0.227 0.246 0.335
Si1 0.775 0.750 0.822
Si2 0.275 0.247 0.677
Si3 0.725 0.247 0.177
Si4 0.225 0.750 0.322
O1 0.573 0.041 0.120
O2 0.442 0.450 0.609
O3 0.558 0.450 0.109
O4 0.177 0.742 0.139
O5 0.080 0.964 0.377
O6 0.950 0.260 0.622
O7 0.065 0.539 0.387
O8 0.453 0.739 0.886
O9 0.661 0.260 0.360
O10 0.823 0.742 0.639
O11 0.935 0.539 0.887
O12 0.339 0.260 0.860
O13 0.920 0.964 0.877
O14 0.547 0.739 0.386
O15 0.427 0.041 0.620
O16 0.050 0.260 0.122

Computed properties:
space-group type: Pc, No. 7
ρ: 3.47 Mg/m³

***

# 2
Here is a geometry-optimized Rb3CrF6 structure from the Materials Project database. Energies are from PBE with a Hubbard U.

Lattice parameters (Å, degrees): 6.511 6.511 6.511 60.00 60.00 60.00
Fractional positions:
Rb1 0.750 0.750 0.750
Rb2 0.500 0.500 0.500
Rb3 0.250 0.250 0.250
F1 0.788 0.212 0.788
F2 0.212 0.212 0.788
F3 0.212 0.788 0.212
F4 0.788 0.788 0.212
F5 0.212 0.788 0.788
F6 0.788 0.212 0.212
Cr1 0.000 0.000 0.000

Computed properties:
space-group type: Fm-3m, No. 225
ρ: 3.59 Mg/m³

***

# 3
Here is a geometry-optimized Co6OF11 structure from the Materials Project database. Energies are from PBE with a Hubbard U.

Lattice parameters (Å, degrees): 5.708 5.708 7.410 73.33 73.33 73.00
Fractional positions:
F1 0.699 0.302 0.001
F2 0.027 0.640 0.670
F3 0.640 0.027 0.670
F4 0.898 0.898 0.297
F5 0.234 0.234 0.960
F6 0.363 0.969 0.331
F7 0.115 0.115 0.697
F8 0.969 0.363 0.331
F9 0.429 0.429 0.372
F10 0.762 0.762 0.034
F11 0.302 0.699 0.001
Co1 0.348 0.348 0.669
Co2 0.333 0.333 0.166
Co3 0.664 0.664 0.343
Co4 0.997 0.997 0.997
Co5 0.659 0.659 0.821
Co6 0.002 0.002 0.502
O1 0.559 0.559 0.638

Computed properties:
space-group type: Cm, No. 8
ρ: 4.46 Mg/m³

***

# 4
Here is a geometry-optimized Li7Fe5O12 structure from the Materials Project database. Energies are from PBE with a Hubbard U.

Lattice parameters (Å, degrees): 5.107 5.107 9.668 85.54 85.54 118.21
Fractional positions:
O1 0.271 0.435 0.383
O2 0.942 0.773 0.379
O3 0.565 0.729 0.617
O4 0.075 0.254 0.116
O5 0.453 0.291 0.878
O6 0.746 0.925 0.884
O7 0.227 0.058 0.621
O8 0.709 0.547 0.122
O9 0.660 0.157 0.371
O10 0.843 0.340 0.629
O11 0.360 0.839 0.127
O12 0.161 0.640 0.873
Li1 0.254 0.746 0.500
Li2 0.749 0.251 0.000
Li3 0.828 0.656 0.758
Li4 0.159 0.333 0.756
Li5 0.344 0.172 0.242
Li6 0.667 0.841 0.244
Li7 0.077 0.923 0.000
Fe1 0.421 0.579 0.000
Fe2 0.579 0.421 0.500
Fe3 0.922 0.078 0.500
Fe4 0.488 0.000 0.758
Fe5 0.000 0.512 0.242

Computed properties:
space-group type: C2, No. 5
ρ: 3.93 Mg/m³

***

# 5
Here is a geometry-optimized K2AlFeB2P4H2O18 structure from the Materials Project database. Energies are from PBE with a Hubbard U.

Lattice parameters (Å, degrees): 5.169 8.206 8.344 86.31 80.68 86.52
Fractional positions:
P1 0.202 0.089 0.801
P2 0.780 0.436 0.317
P3 0.215 0.555 0.690
P4 0.801 0.919 0.196
B1 0.878 0.233 0.053
B2 0.124 0.769 0.944
O1 0.061 0.644 0.841
O2 0.132 0.174 0.966
O3 0.265 0.902 0.839
O4 0.458 0.153 0.707
O5 0.551 0.855 0.298
O6 0.940 0.352 0.164
O7 0.488 0.488 0.723
O8 0.039 0.423 0.659
O9 0.031 0.906 0.293
O10 0.753 0.306 0.461
O11 0.715 0.306 0.933
O12 0.252 0.689 0.550
O13 0.936 0.579 0.347
O14 0.873 0.828 0.034
O15 0.505 0.491 0.277
O16 0.728 0.102 0.151
O17 0.971 0.110 0.705
O18 0.295 0.699 0.059
Fe1 0.268 0.694 0.310
K1 0.725 0.826 0.617
K2 0.277 0.173 0.382
Al1 0.733 0.303 0.692
H1 0.452 0.640 0.007
H2 0.551 0.358 0.985

Computed properties:
space-group type: P1, No. 1
ρ: 2.85 Mg/m³

***

# 6
Here is a geometry-optimized Li3Co2O5 structure from the Materials Project database. Energies are from PBE with a Hubbard U.

Lattice parameters (Å, degrees): 5.046 5.101 7.685 82.66 72.95 71.18
Fractional positions:
Li1 0.500 0.000 0.500
Li2 0.596 0.500 0.303
Li3 0.404 0.500 0.697
Li4 0.202 0.499 0.101
Li5 0.798 0.501 0.899
Li6 0.000 0.500 0.500
O1 0.961 0.227 0.110
O2 0.136 0.222 0.711
O3 0.340 0.221 0.293
O4 0.772 0.233 0.509
O5 0.039 0.773 0.890
O6 0.558 0.235 0.904
O7 0.228 0.767 0.491
O8 0.442 0.765 0.096
O9 0.660 0.779 0.707
O10 0.864 0.778 0.289
Co1 0.305 0.002 0.895
Co2 0.897 0.998 0.696
Co3 0.695 0.998 0.105
Co4 0.103 0.002 0.304

Computed properties:
space-group type: P-1, No. 2
ρ: 4.06 Mg/m³

***

# 7
Here is a geometry-optimized LiVF4 structure from the Materials Project database. Energies are from PBE with a Hubbard U.

Lattice parameters (Å, degrees): 5.197 7.329 7.994 75.40 90.00 90.00
Fractional positions:
Li1 0.204 0.002 0.856
Li2 0.296 0.502 0.856
Li3 0.704 0.498 0.144
Li4 0.796 0.998 0.144
F1 0.619 0.626 0.890
F2 0.400 0.023 0.325
F3 0.908 0.232 0.209
F4 0.881 0.126 0.890
F5 0.450 0.670 0.557
F6 0.381 0.374 0.110
F7 0.950 0.830 0.443
F8 0.550 0.330 0.443
F9 0.600 0.977 0.675
F10 0.100 0.523 0.325
F11 0.092 0.768 0.791
F12 0.408 0.268 0.791
F13 0.592 0.732 0.209
F14 0.050 0.170 0.557
F15 0.119 0.874 0.110
F16 0.900 0.477 0.675
V1 0.224 0.266 0.329
V2 0.776 0.734 0.671
V3 0.276 0.766 0.329
V4 0.724 0.234 0.671

Computed properties:
space-group type: P2_1/c, No. 14
ρ: 3.02 Mg/m³

***

# 8
Here is a geometry-optimized Sr4MoN4O structure from the Materials Project database. Energies are from PBE with a Hubbard U.

Lattice parameters (Å, degrees): 14.903 9.025 10.803 77.84 90.00 90.00
Fractional positions:
O1 0.497 0.912 0.292
O2 0.750 0.682 0.903
O3 0.003 0.912 0.292
O4 0.250 0.318 0.097
O5 0.503 0.088 0.708
O6 0.250 0.517 0.487
O7 0.750 0.483 0.513
O8 0.997 0.088 0.708
Sr1 0.869 0.485 0.983
Sr2 0.873 0.095 0.224
Sr3 0.369 0.515 0.017
Sr4 0.000 0.202 0.894
Sr5 0.127 0.905 0.776
Sr6 0.373 0.905 0.776
Sr7 0.396 0.327 0.565
Sr8 0.626 0.887 0.802
Sr9 0.631 0.485 0.983
Sr10 0.000 0.798 0.106
Sr11 0.750 0.760 0.126
Sr12 0.500 0.798 0.106
Sr13 0.104 0.327 0.565
Sr14 0.250 0.592 0.684
Sr15 0.500 0.202 0.894
Sr16 0.896 0.673 0.435
Sr17 0.374 0.113 0.198
Sr18 0.360 0.737 0.391
Sr19 0.750 0.408 0.316
Sr20 0.874 0.887 0.802
Sr21 0.140 0.737 0.391
Sr22 0.126 0.113 0.198
Sr23 0.250 0.402 0.305
Sr24 0.860 0.263 0.609
Sr25 0.131 0.515 0.017
Sr26 0.640 0.263 0.609
Sr27 0.750 0.598 0.695
Sr28 0.627 0.095 0.224
Sr29 0.250 0.240 0.874
Sr30 0.000 0.000 0.500
Sr31 0.500 0.000 0.500
Sr32 0.604 0.673 0.435
N1 0.649 0.854 0.577
N2 0.355 0.014 0.981
N3 0.388 0.427 0.800
N4 0.750 0.147 0.432
N5 0.351 0.146 0.423
N6 0.588 0.452 0.751
N7 0.993 0.313 0.124
N8 0.145 0.014 0.981
N9 0.851 0.854 0.577
N10 0.007 0.687 0.876
N11 0.612 0.573 0.200
N12 0.750 0.131 0.787
N13 0.088 0.548 0.249
N14 0.888 0.573 0.200
N15 0.112 0.427 0.800
N16 0.456 0.687 0.588
N17 0.250 0.869 0.213
N18 0.044 0.687 0.588
N19 0.149 0.146 0.423
N20 0.250 0.853 0.568
N21 0.855 0.986 0.019
N22 0.493 0.687 0.876
N23 0.544 0.313 0.412
N24 0.750 0.265 0.052
N25 0.956 0.313 0.412
N26 0.250 0.735 0.948
N27 0.645 0.986 0.019
N28 0.750 0.855 0.334
N29 0.250 0.145 0.666
N30 0.507 0.313 0.124
N31 0.912 0.452 0.751
N32 0.412 0.548 0.249
Mo1 0.250 0.065 0.517
Mo2 0.750 0.104 0.963
Mo3 0.483 0.570 0.747
Mo4 0.017 0.570 0.747
Mo5 0.250 0.896 0.037
Mo6 0.983 0.430 0.253
Mo7 0.517 0.430 0.253
Mo8 0.750 0.935 0.483

Computed properties:
space-group type: P2_1/m, No. 11
ρ: 4.85 Mg/m³

***

# 9
Here is a geometry-optimized Sr2NiOsO6 structure from the Materials Project database. Energies are from PBE with a Hubbard U.

Lattice parameters (Å, degrees): 5.850 5.850 5.850 125.98 125.98 79.92
Fractional positions:
Os1 0.500 0.500 0.000
O1 0.307 0.192 0.499
O2 0.192 0.693 0.886
O3 0.808 0.307 0.114
O4 0.693 0.808 0.501
O5 0.719 0.719 0.000
O6 0.281 0.281 0.000
Sr1 0.250 0.750 0.500
Sr2 0.750 0.250 0.500
Ni1 0.000 0.000 0.000

Computed properties:
space-group type: I4/m, No. 87
ρ: 6.82 Mg/m³

***

# 10
Here is a geometry-optimized NaWO4 structure from the Materials Project database. Energies are from PBE with a Hubbard U.

Lattice parameters (Å, degrees): 6.217 7.106 8.821 109.83 97.20 101.76
Fractional positions:
O1 0.401 0.475 0.168
O2 0.987 0.050 0.185
O3 0.416 0.017 0.734
O4 0.599 0.525 0.832
O5 0.828 0.165 0.638
O6 0.356 0.260 0.437
O7 0.807 0.230 0.971
O8 0.829 0.404 0.310
O9 0.644 0.740 0.563
O10 0.410 0.144 0.087
O11 0.590 0.856 0.913
O12 0.171 0.596 0.690
O13 0.193 0.770 0.029
O14 0.172 0.835 0.362
O15 0.584 0.983 0.266
O16 0.013 0.950 0.815
W1 0.721 0.990 0.733
W2 0.279 0.010 0.267
W3 0.738 0.155 0.145
W4 0.262 0.845 0.855
Na1 0.766 0.732 0.303
Na2 0.248 0.557 0.422
Na3 0.752 0.443 0.578
Na4 0.234 0.268 0.697

Computed properties:
space-group type: P-1, No. 2
ρ: 5.13 Mg/m³

***

# 11
Here is a geometry-optimized KFePO4 structure from the Materials Project database. Energies are from PBE with a Hubbard U.

Lattice parameters (Å, degrees): 8.841 9.880 11.151 63.07 90.00 90.00
Fractional positions:
O1 0.703 0.789 0.198
O2 0.792 0.310 0.237
O3 0.958 0.212 0.851
O4 0.458 0.788 0.649
O5 0.609 0.542 0.385
O6 0.578 0.781 0.403
O7 0.844 0.669 0.425
O8 0.232 0.762 0.516
O9 0.203 0.211 0.302
O10 0.344 0.331 0.075
O11 0.922 0.781 0.903
O12 0.268 0.762 0.016
O13 0.768 0.238 0.484
O14 0.109 0.458 0.115
O15 0.208 0.690 0.763
O16 0.656 0.669 0.925
O17 0.042 0.788 0.149
O18 0.765 0.032 0.407
O19 0.297 0.211 0.802
O20 0.391 0.458 0.615
O21 0.078 0.219 0.097
O22 0.156 0.331 0.575
O23 0.735 0.032 0.907
O24 0.542 0.212 0.351
O25 0.422 0.219 0.597
O26 0.292 0.690 0.263
O27 0.797 0.789 0.698
O28 0.708 0.310 0.737
O29 0.265 0.968 0.093
O30 0.235 0.968 0.593
O31 0.732 0.238 0.984
O32 0.891 0.542 0.885
K1 0.974 0.063 0.669
K2 0.474 0.937 0.831
K3 0.497 0.467 0.841
K4 0.997 0.533 0.659
K5 0.026 0.937 0.331
K6 0.526 0.063 0.169
K7 0.503 0.533 0.159
K8 0.003 0.467 0.341
P1 0.807 0.694 0.853
P2 0.283 0.803 0.629
P3 0.307 0.306 0.647
P4 0.193 0.306 0.147
P5 0.217 0.803 0.129
P6 0.783 0.197 0.871
P7 0.693 0.694 0.353
P8 0.717 0.197 0.371
Fe1 0.652 0.848 0.544
Fe2 0.848 0.848 0.044
Fe3 0.376 0.653 0.441
Fe4 0.624 0.347 0.559
Fe5 0.876 0.347 0.059
Fe6 0.152 0.152 0.956
Fe7 0.124 0.653 0.941
Fe8 0.348 0.152 0.456

Computed properties:
space-group type: P2_1/c, No. 14
ρ: 2.91 Mg/m³

***

# 12
Here is a geometry-optimized Li10Fe5Co3O16 structure from the Materials Project database. Energies are from PBE with a Hubbard U.

Lattice parameters (Å, degrees): 5.977 5.988 9.834 90.67 90.15 119.81
Fractional positions:
O1 0.993 0.014 0.319
O2 0.522 0.031 0.837
O3 0.021 0.024 0.826
O4 0.346 0.190 0.088
O5 0.034 0.521 0.341
O6 0.519 0.500 0.838
O7 0.997 0.498 0.843
O8 0.188 0.855 0.586
O9 0.848 0.187 0.092
O10 0.835 0.683 0.090
O11 0.680 0.853 0.589
O12 0.361 0.684 0.099
O13 0.501 0.518 0.339
O14 0.180 0.342 0.592
O15 0.512 0.997 0.337
O16 0.678 0.336 0.594
Fe1 0.678 0.352 0.972
Fe2 0.183 0.356 0.215
Fe3 0.352 0.182 0.713
Fe4 0.846 0.183 0.714
Fe5 0.354 0.693 0.469
Li1 0.210 0.819 0.945
Li2 0.349 0.676 0.727
Li3 0.683 0.349 0.227
Li4 0.010 0.008 0.512
Li5 0.411 0.211 0.444
Li6 0.214 0.400 0.945
Li7 0.818 0.617 0.447
Li8 0.622 0.814 0.947
Li9 0.823 0.206 0.442
Li10 0.012 0.013 0.016
Co1 0.181 0.848 0.213
Co2 0.674 0.847 0.212
Co3 0.846 0.674 0.713

Computed properties:
space-group type: P1, No. 1
ρ: 4.25 Mg/m³

***

no.,energy of formation (meV/atom)
1,-2788
2,-3073
3,-2198
4,-1896
5,-2610
6,-1701
7,-3176
8,-1143
9,-2081
10,-1878
11,-2443
12,-1789